(1)
Li6MnV3P6O24 after structural relaxation. Source: the Materials Project database, functional GGA+U.

Cell: 16.7814 16.7814 10.1682 Å, 90.00 90.00 120.00°
Space group R-3c (No. 167, hexagonal axes)
Symmetry-distinct sites (fractional):
Li: 0.0000 0.1232 0.2500 x18
Li: 0.0000 0.3739 0.7500 x18
Mn: 0.0000 0.0000 0.0000 x6
V: 0.0000 0.5000 0.0000 x18
P: 0.0410 0.2084 0.5845 x36
O: 0.0068 0.1060 0.6135 x36
O: 0.0305 0.2691 0.8790 x36
O: 0.0587 0.2344 0.4358 x36
O: 0.0742 0.5350 0.8346 x36

Values from the calculation:
energy above the most stable polymorph in this dataset = 53 meV per atom
formation energy = -2.633 eV per atom
E_tot = -281.18 eV per formula unit

(2)
Li3MnVP3O12 after structural relaxation. Source: the Materials Project database, functional GGA+U.

Cell: 8.698 8.761 12.296 Å, 89.99 88.86 89.70°
Space group P1 (No. 1)
Symmetry-distinct sites (fractional):
Li: 0.000 0.000 0.000 x1
Li: 0.004 0.390 0.939 x1
Li: 0.132 0.321 0.520 x1
Li: 0.212 0.822 0.376 x1
Li: 0.340 0.892 0.957 x1
Li: 0.346 0.498 0.896 x1
Li: 0.501 0.691 0.500 x1
Li: 0.506 0.300 0.439 x1
Li: 0.634 0.368 0.020 x1
Li: 0.709 0.868 0.876 x1
Li: 0.837 0.797 0.457 x1
Li: 0.844 0.193 0.396 x1
Mn: 0.176 0.061 0.804 x1
Mn: 0.668 0.053 0.088 x1
Mn: 0.674 0.552 0.808 x1
Mn: 0.677 0.629 0.303 x1
V: 0.168 0.636 0.587 x1
V: 0.169 0.564 0.088 x1
V: 0.175 0.138 0.309 x1
V: 0.668 0.126 0.589 x1
P: 0.027 0.708 0.845 x1
P: 0.027 0.996 0.547 x1
P: 0.317 0.206 0.054 x1
P: 0.318 0.497 0.346 x1
P: 0.381 0.346 0.692 x1
P: 0.459 0.846 0.703 x1
P: 0.527 0.692 0.044 x1
P: 0.529 0.982 0.343 x1
P: 0.815 0.483 0.555 x1
P: 0.818 0.190 0.849 x1
P: 0.882 0.347 0.192 x1
P: 0.960 0.848 0.205 x1
O: 0.038 0.738 0.123 x1
O: 0.070 0.682 0.725 x1
O: 0.071 0.119 0.458 x1
O: 0.073 0.874 0.879 x1
O: 0.079 0.833 0.509 x1
O: 0.087 0.931 0.268 x1
O: 0.092 0.045 0.653 x1
O: 0.115 0.588 0.915 x1
O: 0.229 0.085 0.988 x1
O: 0.252 0.544 0.239 x1
O: 0.254 0.429 0.627 x1
O: 0.264 0.335 0.385 x1
O: 0.272 0.619 0.435 x1
O: 0.274 0.372 0.018 x1
O: 0.277 0.185 0.174 x1
O: 0.306 0.236 0.775 x1
O: 0.348 0.697 0.043 x1
O: 0.353 0.000 0.363 x1
O: 0.355 0.926 0.791 x1
O: 0.370 0.732 0.632 x1
O: 0.469 0.460 0.764 x1
O: 0.485 0.268 0.604 x1
O: 0.494 0.189 0.033 x1
O: 0.497 0.488 0.349 x1
O: 0.535 0.956 0.620 x1
O: 0.565 0.006 0.222 x1
O: 0.572 0.566 0.955 x1
O: 0.573 0.815 0.377 x1
O: 0.575 0.852 0.005 x1
O: 0.586 0.766 0.768 x1
O: 0.593 0.642 0.151 x1
O: 0.616 0.102 0.413 x1
O: 0.726 0.605 0.490 x1
O: 0.752 0.145 0.740 x1
O: 0.755 0.269 0.129 x1
O: 0.769 0.351 0.889 x1
O: 0.771 0.317 0.519 x1
O: 0.772 0.067 0.937 x1
O: 0.781 0.502 0.678 x1
O: 0.812 0.457 0.279 x1
O: 0.847 0.989 0.544 x1
O: 0.852 0.692 0.865 x1
O: 0.858 0.769 0.293 x1
O: 0.870 0.961 0.132 x1
O: 0.971 0.232 0.264 x1
O: 0.988 0.425 0.106 x1
O: 0.990 0.500 0.534 x1
O: 0.999 0.195 0.850 x1

Values from the calculation:
energy above the most stable polymorph in this dataset = 14 meV per atom
formation energy = -2.642 eV per atom
E_tot = -140.81 eV per formula unit

(3)
Li3MnVP3O12 after structural relaxation. Source: the Materials Project database, functional GGA+U.

Cell: 8.372 8.382 9.133 Å, 116.45 90.73 119.35°
Space group P1 (No. 1)
Symmetry-distinct sites (fractional):
Li: 0.000 0.000 0.000 x1
Li: 0.031 0.429 0.243 x1
Li: 0.238 0.548 0.970 x1
Li: 0.373 0.163 0.241 x1
Li: 0.567 0.300 0.961 x1
Li: 0.834 0.680 0.689 x1
Mn: 0.151 0.067 0.660 x1
Mn: 0.459 0.662 0.537 x1
V: 0.647 0.045 0.141 x1
V: 0.958 0.666 0.062 x1
P: 0.044 0.153 0.350 x1
P: 0.257 0.849 0.852 x1
P: 0.348 0.858 0.353 x1
P: 0.565 0.583 0.848 x1
P: 0.747 0.551 0.335 x1
P: 0.847 0.161 0.857 x1
O: 0.057 0.246 0.857 x1
O: 0.069 0.161 0.515 x1
O: 0.090 0.999 0.205 x1
O: 0.142 0.942 0.835 x1
O: 0.143 0.696 0.919 x1
O: 0.154 0.665 0.203 x1
O: 0.165 0.369 0.359 x1
O: 0.297 0.738 0.688 x1
O: 0.317 0.989 0.512 x1
O: 0.444 0.751 0.378 x1
O: 0.445 0.371 0.841 x1
O: 0.454 0.048 0.002 x1
O: 0.470 0.004 0.280 x1
O: 0.510 0.736 0.978 x1
O: 0.535 0.565 0.672 x1
O: 0.541 0.470 0.350 x1
O: 0.704 0.961 0.689 x1
O: 0.768 0.611 0.195 x1
O: 0.774 0.358 0.270 x1
O: 0.786 0.682 0.907 x1
O: 0.808 0.341 0.912 x1
O: 0.825 0.060 0.274 x1
O: 0.833 0.107 0.005 x1
O: 0.898 0.729 0.508 x1

Values from the calculation:
energy above the most stable polymorph in this dataset = 29 meV per atom
formation energy = -2.626 eV per atom
E_tot = -140.50 eV per formula unit

What did the third record say?
Li3MnVP3O12 after structural relaxation. Source: the Materials Project database, functional GGA+U.

Cell: 8.372 8.382 9.133 Å, 116.45 90.73 119.35°
Space group P1 (No. 1)
Symmetry-distinct sites (fractional):
Li: 0.000 0.000 0.000 x1
Li: 0.031 0.429 0.243 x1
Li: 0.238 0.548 0.970 x1
Li: 0.373 0.163 0.241 x1
Li: 0.567 0.300 0.961 x1
Li: 0.834 0.680 0.689 x1
Mn: 0.151 0.067 0.660 x1
Mn: 0.459 0.662 0.537 x1
V: 0.647 0.045 0.141 x1
V: 0.958 0.666 0.062 x1
P: 0.044 0.153 0.350 x1
P: 0.257 0.849 0.852 x1
P: 0.348 0.858 0.353 x1
P: 0.565 0.583 0.848 x1
P: 0.747 0.551 0.335 x1
P: 0.847 0.161 0.857 x1
O: 0.057 0.246 0.857 x1
O: 0.069 0.161 0.515 x1
O: 0.090 0.999 0.205 x1
O: 0.142 0.942 0.835 x1
O: 0.143 0.696 0.919 x1
O: 0.154 0.665 0.203 x1
O: 0.165 0.369 0.359 x1
O: 0.297 0.738 0.688 x1
O: 0.317 0.989 0.512 x1
O: 0.444 0.751 0.378 x1
O: 0.445 0.371 0.841 x1
O: 0.454 0.048 0.002 x1
O: 0.470 0.004 0.280 x1
O: 0.510 0.736 0.978 x1
O: 0.535 0.565 0.672 x1
O: 0.541 0.470 0.350 x1
O: 0.704 0.961 0.689 x1
O: 0.768 0.611 0.195 x1
O: 0.774 0.358 0.270 x1
O: 0.786 0.682 0.907 x1
O: 0.808 0.341 0.912 x1
O: 0.825 0.060 0.274 x1
O: 0.833 0.107 0.005 x1
O: 0.898 0.729 0.508 x1

Values from the calculation:
energy above the most stable polymorph in this dataset = 29 meV per atom
formation energy = -2.626 eV per atom
E_tot = -140.50 eV per formula unit

What did the second record say?
Li3MnVP3O12 after structural relaxation. Source: the Materials Project database, functional GGA+U.

Cell: 8.698 8.761 12.296 Å, 89.99 88.86 89.70°
Space group P1 (No. 1)
Symmetry-distinct sites (fractional):
Li: 0.000 0.000 0.000 x1
Li: 0.004 0.390 0.939 x1
Li: 0.132 0.321 0.520 x1
Li: 0.212 0.822 0.376 x1
Li: 0.340 0.892 0.957 x1
Li: 0.346 0.498 0.896 x1
Li: 0.501 0.691 0.500 x1
Li: 0.506 0.300 0.439 x1
Li: 0.634 0.368 0.020 x1
Li: 0.709 0.868 0.876 x1
Li: 0.837 0.797 0.457 x1
Li: 0.844 0.193 0.396 x1
Mn: 0.176 0.061 0.804 x1
Mn: 0.668 0.053 0.088 x1
Mn: 0.674 0.552 0.808 x1
Mn: 0.677 0.629 0.303 x1
V: 0.168 0.636 0.587 x1
V: 0.169 0.564 0.088 x1
V: 0.175 0.138 0.309 x1
V: 0.668 0.126 0.589 x1
P: 0.027 0.708 0.845 x1
P: 0.027 0.996 0.547 x1
P: 0.317 0.206 0.054 x1
P: 0.318 0.497 0.346 x1
P: 0.381 0.346 0.692 x1
P: 0.459 0.846 0.703 x1
P: 0.527 0.692 0.044 x1
P: 0.529 0.982 0.343 x1
P: 0.815 0.483 0.555 x1
P: 0.818 0.190 0.849 x1
P: 0.882 0.347 0.192 x1
P: 0.960 0.848 0.205 x1
O: 0.038 0.738 0.123 x1
O: 0.070 0.682 0.725 x1
O: 0.071 0.119 0.458 x1
O: 0.073 0.874 0.879 x1
O: 0.079 0.833 0.509 x1
O: 0.087 0.931 0.268 x1
O: 0.092 0.045 0.653 x1
O: 0.115 0.588 0.915 x1
O: 0.229 0.085 0.988 x1
O: 0.252 0.544 0.239 x1
O: 0.254 0.429 0.627 x1
O: 0.264 0.335 0.385 x1
O: 0.272 0.619 0.435 x1
O: 0.274 0.372 0.018 x1
O: 0.277 0.185 0.174 x1
O: 0.306 0.236 0.775 x1
O: 0.348 0.697 0.043 x1
O: 0.353 0.000 0.363 x1
O: 0.355 0.926 0.791 x1
O: 0.370 0.732 0.632 x1
O: 0.469 0.460 0.764 x1
O: 0.485 0.268 0.604 x1
O: 0.494 0.189 0.033 x1
O: 0.497 0.488 0.349 x1
O: 0.535 0.956 0.620 x1
O: 0.565 0.006 0.222 x1
O: 0.572 0.566 0.955 x1
O: 0.573 0.815 0.377 x1
O: 0.575 0.852 0.005 x1
O: 0.586 0.766 0.768 x1
O: 0.593 0.642 0.151 x1
O: 0.616 0.102 0.413 x1
O: 0.726 0.605 0.490 x1
O: 0.752 0.145 0.740 x1
O: 0.755 0.269 0.129 x1
O: 0.769 0.351 0.889 x1
O: 0.771 0.317 0.519 x1
O: 0.772 0.067 0.937 x1
O: 0.781 0.502 0.678 x1
O: 0.812 0.457 0.279 x1
O: 0.847 0.989 0.544 x1
O: 0.852 0.692 0.865 x1
O: 0.858 0.769 0.293 x1
O: 0.870 0.961 0.132 x1
O: 0.971 0.232 0.264 x1
O: 0.988 0.425 0.106 x1
O: 0.990 0.500 0.534 x1
O: 0.999 0.195 0.850 x1

Values from the calculation:
energy above the most stable polymorph in this dataset = 14 meV per atom
formation energy = -2.642 eV per atom
E_tot = -140.81 eV per formula unit

Please write out number 2 again, unchanged.
Li3MnVP3O12 after structural relaxation. Source: the Materials Project database, functional GGA+U.

Cell: 8.698 8.761 12.296 Å, 89.99 88.86 89.70°
Space group P1 (No. 1)
Symmetry-distinct sites (fractional):
Li: 0.000 0.000 0.000 x1
Li: 0.004 0.390 0.939 x1
Li: 0.132 0.321 0.520 x1
Li: 0.212 0.822 0.376 x1
Li: 0.340 0.892 0.957 x1
Li: 0.346 0.498 0.896 x1
Li: 0.501 0.691 0.500 x1
Li: 0.506 0.300 0.439 x1
Li: 0.634 0.368 0.020 x1
Li: 0.709 0.868 0.876 x1
Li: 0.837 0.797 0.457 x1
Li: 0.844 0.193 0.396 x1
Mn: 0.176 0.061 0.804 x1
Mn: 0.668 0.053 0.088 x1
Mn: 0.674 0.552 0.808 x1
Mn: 0.677 0.629 0.303 x1
V: 0.168 0.636 0.587 x1
V: 0.169 0.564 0.088 x1
V: 0.175 0.138 0.309 x1
V: 0.668 0.126 0.589 x1
P: 0.027 0.708 0.845 x1
P: 0.027 0.996 0.547 x1
P: 0.317 0.206 0.054 x1
P: 0.318 0.497 0.346 x1
P: 0.381 0.346 0.692 x1
P: 0.459 0.846 0.703 x1
P: 0.527 0.692 0.044 x1
P: 0.529 0.982 0.343 x1
P: 0.815 0.483 0.555 x1
P: 0.818 0.190 0.849 x1
P: 0.882 0.347 0.192 x1
P: 0.960 0.848 0.205 x1
O: 0.038 0.738 0.123 x1
O: 0.070 0.682 0.725 x1
O: 0.071 0.119 0.458 x1
O: 0.073 0.874 0.879 x1
O: 0.079 0.833 0.509 x1
O: 0.087 0.931 0.268 x1
O: 0.092 0.045 0.653 x1
O: 0.115 0.588 0.915 x1
O: 0.229 0.085 0.988 x1
O: 0.252 0.544 0.239 x1
O: 0.254 0.429 0.627 x1
O: 0.264 0.335 0.385 x1
O: 0.272 0.619 0.435 x1
O: 0.274 0.372 0.018 x1
O: 0.277 0.185 0.174 x1
O: 0.306 0.236 0.775 x1
O: 0.348 0.697 0.043 x1
O: 0.353 0.000 0.363 x1
O: 0.355 0.926 0.791 x1
O: 0.370 0.732 0.632 x1
O: 0.469 0.460 0.764 x1
O: 0.485 0.268 0.604 x1
O: 0.494 0.189 0.033 x1
O: 0.497 0.488 0.349 x1
O: 0.535 0.956 0.620 x1
O: 0.565 0.006 0.222 x1
O: 0.572 0.566 0.955 x1
O: 0.573 0.815 0.377 x1
O: 0.575 0.852 0.005 x1
O: 0.586 0.766 0.768 x1
O: 0.593 0.642 0.151 x1
O: 0.616 0.102 0.413 x1
O: 0.726 0.605 0.490 x1
O: 0.752 0.145 0.740 x1
O: 0.755 0.269 0.129 x1
O: 0.769 0.351 0.889 x1
O: 0.771 0.317 0.519 x1
O: 0.772 0.067 0.937 x1
O: 0.781 0.502 0.678 x1
O: 0.812 0.457 0.279 x1
O: 0.847 0.989 0.544 x1
O: 0.852 0.692 0.865 x1
O: 0.858 0.769 0.293 x1
O: 0.870 0.961 0.132 x1
O: 0.971 0.232 0.264 x1
O: 0.988 0.425 0.106 x1
O: 0.990 0.500 0.534 x1
O: 0.999 0.195 0.850 x1

Values from the calculation:
energy above the most stable polymorph in this dataset = 14 meV per atom
formation energy = -2.642 eV per atom
E_tot = -140.81 eV per formula unit

- Which value of energy above the most stable polymorph in this dataset does entry 1 give?
  53 meV per atom